#A
The following is a GGA+U calculation of crystalline MgW2O4F4 at its relaxed geometry, from the Materials Project.

For the total magnetization, the calculation gives 0.170 μB/atom.

The space group is Pm (No. 6) and the conventional cell measures 3.8552, 6.7111 and 7.7812 Å, with angles of 90.00, 90.04 and 90.00 degrees. The asymmetric unit holds Mg at (0.0000, 0.0000, 0.0000), W at (0.5710, 0.5000, 0.0031), W at (0.5710, 0.5000, 0.5032), O at (0.0686, 0.5000, 0.5028), O at (0.0710, 0.5000, 0.0021), O at (0.5703, 0.5000, 0.7462), O at (0.5708, 0.5000, 0.2598), F at (0.5651, 0.2122, 0.5038) and F at (0.5756, 0.1782, 0.0019).

***

#B
The following is a GGA+U calculation of crystalline MgW2O4F4 at its relaxed geometry, from the Materials Project.

For the total magnetization, the calculation gives 0.182 μB/atom.

The space group is C2 (No. 5) and the conventional cell measures 5.5750, 5.4900 and 9.8300 Å, with angles of 90.00, 90.09 and 90.00 degrees. The asymmetric unit holds Mg at (0.0000, 0.0000, 0.0000), W at (0.2322, 0.7322, 0.7382), O at (0.0015, 0.0009, 0.2161), O at (0.0116, 0.4954, 0.2512), F at (0.2461, 0.7371, 0.5443) and F at (0.2455, 0.7449, 0.9598).

***

#C
The following is a GGA+U calculation of crystalline MgW2O4F4 at its relaxed geometry, from the Materials Project.

For the total magnetization, the calculation gives 0.162 μB/atom.

The space group is Cm (No. 8) and the conventional cell measures 5.5087, 5.5925 and 10.1244 Å, with angles of 90.00, 90.23 and 90.00 degrees. The asymmetric unit holds Mg at (0.0000, 0.0000, 0.0000), W at (0.0052, 0.5000, 0.1366), W at (0.0327, 0.0000, 0.6112), O at (0.2542, 0.2490, 0.0973), O at (0.2756, 0.2473, 0.6181), F at (0.0058, 0.5000, 0.3278), F at (0.0082, 0.5000, 0.9303), F at (0.0146, 0.0000, 0.4269) and F at (0.0158, 0.0000, 0.8090).

***

Quick one: most stable of them? #B